*1*
A plane-wave DFT calculation with r2SCAN was carried out for crystalline Sr2Fe2O5 at its relaxed geometry.

## Properties
For the magnetic moment, the calculation gives 75.39 Bohr magnetons per cell.

```
data_Sr2Fe2O5
_chemical_formula_sum 'Sr16 Fe16 O40'
_cell_length_a 7.6981
_cell_length_b 7.7966
_cell_length_c 16.2494
_cell_angle_alpha 90.00
_cell_angle_beta 90.00
_cell_angle_gamma 90.00
_symmetry_space_group_name_H-M 'F m m m'
_symmetry_Int_Tables_number 69
_symmetry_space_group_name_Hall '-F 2 2'
loop_
_atom_site_label
_atom_site_fract_x
_atom_site_fract_y
_atom_site_fract_z
Sr1 0.0000 0.2388 0.1411
Fe1 0.1843 0.0000 0.5000
Fe2 0.2500 0.0000 0.2500
O1 0.0000 0.0000 0.2552
O2 0.0000 0.1712 0.5000
O3 0.2325 0.0000 0.1083
O4 0.2500 0.2500 0.2500
```

***

*2*
A plane-wave DFT calculation with r2SCAN was carried out for crystalline Sr2Fe2O5 at its relaxed geometry.

## Properties
For the magnetic moment, the calculation gives 38.02 Bohr magnetons per cell.

```
data_Sr2Fe2O5
_chemical_formula_sum 'Sr8 Fe8 O20'
_cell_length_a 7.8029
_cell_length_b 15.9887
_cell_length_c 5.4397
_cell_angle_alpha 90.00
_cell_angle_beta 134.14
_cell_angle_gamma 90.00
_symmetry_space_group_name_H-M 'C 1 m 1'
_symmetry_Int_Tables_number 8
loop_
_symmetry_equiv_pos_as_xyz
'x,y,z'
'x,-y,z'
'x+1/2,y+1/2,z'
'x+1/2,-y+1/2,z'
loop_
_atom_site_label
_atom_site_fract_x
_atom_site_fract_y
_atom_site_fract_z
Sr1 0.0000 0.1401 0.0000
Sr2 0.0287 0.3599 0.0288
Fe1 0.0146 0.2499 0.5184
Fe2 0.0810 0.0000 0.5431
Fe3 0.4472 0.0000 0.4085
O1 0.0567 0.3911 0.5723
O2 0.1380 0.0000 0.2499
O3 0.2624 0.2439 0.5151
O4 0.2661 0.2441 0.0187
O5 0.3907 0.0000 0.0020
O6 0.4717 0.3912 0.4887
```

***

Which of them is most stable? Easy: *2*.

***

*1*
A plane-wave DFT calculation with r2SCAN was carried out for crystalline PrY at its relaxed geometry.

## Properties
For the magnetic moment, the calculation gives 1.30 Bohr magnetons per cell.

```
data_PrY
_chemical_formula_sum 'Pr9 Y9'
_cell_length_a 3.6907
_cell_length_b 3.6907
_cell_length_c 53.5964
_cell_angle_alpha 90.00
_cell_angle_beta 90.00
_cell_angle_gamma 120.00
_symmetry_space_group_name_H-M 'R 3 m'
_symmetry_Int_Tables_number 160
_symmetry_space_group_name_Hall 'R 3 -2"'
loop_
_atom_site_label
_atom_site_fract_x
_atom_site_fract_y
_atom_site_fract_z
Pr1 0.0000 0.0000 0.0000
Pr2 0.0000 0.0000 0.1108
Pr3 0.0000 0.0000 0.5018
Y1 0.0000 0.0000 0.3886
Y2 0.0000 0.0000 0.6110
Y3 0.0000 0.0000 0.8904
```

***

*2*
A plane-wave DFT calculation with r2SCAN was carried out for crystalline PrY at its relaxed geometry.

## Properties
For the magnetic moment, the calculation gives 0.34 Bohr magnetons per cell.

```
data_PrY
_chemical_formula_sum 'Pr1 Y1'
_cell_length_a 3.7130
_cell_length_b 3.7130
_cell_length_c 5.9350
_cell_angle_alpha 90.00
_cell_angle_beta 90.00
_cell_angle_gamma 120.00
_symmetry_space_group_name_H-M 'P -6 m 2'
_symmetry_Int_Tables_number 187
_symmetry_space_group_name_Hall 'P -6 2'
loop_
_atom_site_label
_atom_site_fract_x
_atom_site_fract_y
_atom_site_fract_z
Pr1 0.0000 0.0000 0.0000
Y1 0.3333 0.6667 0.5000
```

***

Which of them is most stable? Easy: *1*.

***

*1*
A plane-wave DFT calculation with r2SCAN was carried out for crystalline V4O3F9 at its relaxed geometry.

## Properties
For the magnetic moment, the calculation gives 10.00 Bohr magnetons per cell.

```
data_V4O3F9
_chemical_formula_sum 'V8 O6 F18'
_cell_length_a 5.0911
_cell_length_b 5.2766
_cell_length_c 16.9658
_cell_angle_alpha 88.98
_cell_angle_beta 81.87
_cell_angle_gamma 61.36
_symmetry_space_group_name_H-M 'P 1'
_symmetry_Int_Tables_number 1
loop_
_symmetry_equiv_pos_as_xyz
'x,y,z'
loop_
_atom_site_label
_atom_site_fract_x
_atom_site_fract_y
_atom_site_fract_z
V1 0.0000 0.0000 0.0000
V2 0.0066 0.5264 0.4981
V3 0.2428 0.3954 0.1292
V4 0.2701 0.8766 0.6300
V5 0.5273 0.2992 0.7498
V6 0.5525 0.7582 0.2515
V7 0.7667 0.6455 0.8748
V8 0.7756 0.1031 0.3765
O1 0.3074 0.6009 0.6867
O2 0.6783 0.4688 0.7933
O3 0.6893 0.9486 0.2939
O4 0.8210 0.8068 0.4406
O5 0.8584 0.8208 0.9579
O6 0.8760 0.5776 0.1685
F1 0.1908 0.4218 0.8380
F2 0.1963 0.9138 0.3380
F3 0.2006 0.2175 0.0377
F4 0.2210 0.7146 0.5358
F5 0.2390 0.2034 0.5629
F6 0.2540 0.6968 0.0635
F7 0.3086 0.0480 0.1849
F8 0.3308 0.0849 0.7114
F9 0.3448 0.8692 0.9131
F10 0.3490 0.3252 0.4142
F11 0.3698 0.5300 0.2147
F12 0.6937 0.1739 0.0914
F13 0.7055 0.6922 0.5915
F14 0.7437 0.4319 0.3183
F15 0.7464 0.9415 0.8063
F16 0.7876 0.3495 0.9439
F17 0.8355 0.1147 0.6580
F18 0.8402 0.2917 0.4676
```

***

*2*
A plane-wave DFT calculation with r2SCAN was carried out for crystalline V4O3F9 at its relaxed geometry.

## Properties
For the magnetic moment, the calculation gives 5.00 Bohr magnetons per cell.

```
data_V4O3F9
_chemical_formula_sum 'V4 O3 F9'
_cell_length_a 5.0594
_cell_length_b 5.2899
_cell_length_c 7.3596
_cell_angle_alpha 93.31
_cell_angle_beta 90.51
_cell_angle_gamma 90.71
_symmetry_space_group_name_H-M 'P 1'
_symmetry_Int_Tables_number 1
loop_
_symmetry_equiv_pos_as_xyz
'x,y,z'
loop_
_atom_site_label
_atom_site_fract_x
_atom_site_fract_y
_atom_site_fract_z
V1 0.0000 0.0000 0.0000
V2 0.0220 0.0414 0.5078
V3 0.4792 0.4737 0.9954
V4 0.5327 0.5330 0.4943
O1 0.2060 0.2957 0.5458
O2 0.2908 0.2099 0.9638
O3 0.7862 0.7170 0.4575
F1 0.1024 0.9850 0.2524
F2 0.1880 0.6974 0.9404
F3 0.2882 0.7985 0.5687
F4 0.3825 0.5181 0.2524
F5 0.6112 0.4890 0.7501
F6 0.6865 0.7904 0.0477
F7 0.6995 0.2089 0.4382
F8 0.7985 0.2996 0.0608
F9 0.8815 0.0134 0.7513
```

***

*3*
A plane-wave DFT calculation with r2SCAN was carried out for crystalline V4O3F9 at its relaxed geometry.

## Properties
For the magnetic moment, the calculation gives 10.00 Bohr magnetons per cell.

```
data_V4O3F9
_chemical_formula_sum 'V8 O6 F18'
_cell_length_a 5.1118
_cell_length_b 5.2898
_cell_length_c 16.9494
_cell_angle_alpha 83.28
_cell_angle_beta 82.13
_cell_angle_gamma 61.14
_symmetry_space_group_name_H-M 'P 1'
_symmetry_Int_Tables_number 1
loop_
_symmetry_equiv_pos_as_xyz
'x,y,z'
loop_
_atom_site_label
_atom_site_fract_x
_atom_site_fract_y
_atom_site_fract_z
V1 0.0000 0.0000 0.0000
V2 0.0258 0.1979 0.6246
V3 0.2236 0.2730 0.2600
V4 0.3295 0.4170 0.8776
V5 0.4229 0.5602 0.4960
V6 0.5667 0.6644 0.1259
V7 0.6643 0.8257 0.7567
V8 0.8233 0.9168 0.3777
O1 0.1989 0.7116 0.4220
O2 0.2183 0.7431 0.9368
O3 0.2402 0.8458 0.0845
O4 0.4415 0.0883 0.8169
O5 0.4412 0.1233 0.3349
O6 0.7036 0.3733 0.5855
F1 0.1631 0.8404 0.5720
F2 0.1703 0.2597 0.9669
F3 0.2528 0.3100 0.5396
F4 0.4125 0.5109 0.2192
F5 0.4434 0.9703 0.6656
F6 0.4856 0.5726 0.7870
F7 0.4976 0.9831 0.1872
F8 0.6593 0.7616 0.4663
F9 0.7065 0.3191 0.0702
F10 0.7080 0.2240 0.9200
F11 0.7394 0.2370 0.4372
F12 0.7634 0.8110 0.0405
F13 0.9058 0.5989 0.3172
F14 0.9138 0.0071 0.7167
F15 0.9466 0.6053 0.8371
F16 0.9632 0.4564 0.1707
F17 0.9709 0.4944 0.6900
F18 0.9850 0.0731 0.2884
```

***

Which of them is most stable? Easy: *1*.

***

*1*
A plane-wave DFT calculation with r2SCAN was carried out for crystalline Cs at its relaxed geometry.

## Properties
For the magnetic moment, the calculation gives 0.12 Bohr magnetons per cell.

```
data_Cs
_chemical_formula_sum 'Cs8'
_cell_length_a 10.4573
_cell_length_b 10.4573
_cell_length_c 9.0558
_cell_angle_alpha 90.00
_cell_angle_beta 90.00
_cell_angle_gamma 90.00
_symmetry_space_group_name_H-M 'P 42/m b c'
_symmetry_Int_Tables_number 135
_symmetry_space_group_name_Hall '-P 4c 2ab'
loop_
_atom_site_label
_atom_site_fract_x
_atom_site_fract_y
_atom_site_fract_z
Cs1 0.0599 0.2463 0.0000
```

***

*2*
A plane-wave DFT calculation with r2SCAN was carried out for crystalline Cs at its relaxed geometry.

## Properties
For the magnetic moment, the calculation gives 0.00 Bohr magnetons per cell.

```
data_Cs
_chemical_formula_sum 'Cs2'
_cell_length_a 5.9653
_cell_length_b 9.0625
_cell_length_c 5.4003
_cell_angle_alpha 90.00
_cell_angle_beta 122.98
_cell_angle_gamma 90.00
_symmetry_space_group_name_H-M 'C 1 2/m 1'
_symmetry_Int_Tables_number 12
loop_
_symmetry_equiv_pos_as_xyz
'x,y,z'
'-x,-y,-z'
'-x,y,-z'
'x,-y,z'
'x+1/2,y+1/2,z'
'-x+1/2,-y+1/2,-z'
'-x+1/2,y+1/2,-z'
'x+1/2,-y+1/2,z'
loop_
_atom_site_label
_atom_site_fract_x
_atom_site_fract_y
_atom_site_fract_z
Cs1 0.0000 0.0000 0.0000
```

***

*3*
A plane-wave DFT calculation with r2SCAN was carried out for crystalline Cs at its relaxed geometry.

## Properties
For the magnetic moment, the calculation gives 0.00 Bohr magnetons per cell.

```
data_Cs
_chemical_formula_sum 'Cs4'
_cell_length_a 7.8967
_cell_length_b 7.8967
_cell_length_c 7.8967
_cell_angle_alpha 90.00
_cell_angle_beta 90.00
_cell_angle_gamma 90.00
_symmetry_space_group_name_H-M 'F m -3 m'
_symmetry_Int_Tables_number 225
_symmetry_space_group_name_Hall '-F 4 2 3'
loop_
_atom_site_label
_atom_site_fract_x
_atom_site_fract_y
_atom_site_fract_z
Cs1 0.0000 0.0000 0.0000
```

***

Which of them is most stable? Easy: *3*.